Entry 1:
Below is a relaxed structure of TlReO4, with properties calculated at the r²SCAN level.

SG: P2_1/c, No. 14
M_tot, Bohr magnetons per cell: 0.0
DFT formation energy, eV/atom: -1.59
Total DFT energy (no corrections), eV/f.u.: -139.0

POSCAR file:
```
TlReO4
1.0
17.4121 0.0000 0.0000
0.0000 13.0668 0.0000
-0.0635 0.0000 5.6782
Tl Re O
12 12 48
direct
0.0795 0.1288 0.4769
0.0795 0.3712 0.9769
0.2460 0.6310 0.9894
0.2460 0.8690 0.4894
0.4146 0.1233 0.4936
0.4146 0.3767 0.9936
0.5854 0.6233 0.0064
0.5854 0.8767 0.5064
0.7540 0.1310 0.5106
0.7540 0.3690 0.0106
0.9205 0.6288 0.0231
0.9205 0.8712 0.5231
0.0831 0.6134 0.5324
0.0831 0.8866 0.0324
0.2500 0.1242 0.9855
0.2500 0.3758 0.4855
0.4170 0.6281 0.4940
0.4170 0.8719 0.9940
0.5830 0.1281 0.0060
0.5830 0.3719 0.5060
0.7500 0.6242 0.5145
0.7500 0.8758 0.0145
0.9169 0.1134 0.9676
0.9169 0.3866 0.4676
0.0087 0.6932 0.4377
0.0087 0.8068 0.9377
0.0762 0.5905 0.8349
0.0762 0.9095 0.3349
0.0780 0.0010 0.8755
0.0780 0.4990 0.3755
0.1711 0.6723 0.4772
0.1711 0.8277 0.9772
0.1808 0.2042 0.8593
0.1808 0.2958 0.3593
0.2104 0.0551 0.2170
0.2104 0.4449 0.7170
0.2827 0.0403 0.7693
0.2827 0.4597 0.2693
0.3274 0.1963 0.0916
0.3274 0.3037 0.5916
0.3482 0.7058 0.3576
0.3482 0.7942 0.8576
0.3733 0.5546 0.7114
0.3733 0.9454 0.2114
0.4574 0.5484 0.2820
0.4574 0.9516 0.7820
0.4898 0.7020 0.6217
0.4898 0.7980 0.1217
0.5102 0.2020 0.8783
0.5102 0.2980 0.3783
0.5426 0.0484 0.2180
0.5426 0.4516 0.7180
0.6267 0.0546 0.7886
0.6267 0.4454 0.2886
0.6518 0.2058 0.1424
0.6518 0.2942 0.6424
0.6726 0.6963 0.4084
0.6726 0.8037 0.9084
0.7173 0.5403 0.7307
0.7173 0.9597 0.2307
0.7896 0.5551 0.2830
0.7896 0.9449 0.7830
0.8192 0.7042 0.6407
0.8192 0.7958 0.1407
0.8289 0.1723 0.0228
0.8289 0.3277 0.5228
0.9220 0.5010 0.6245
0.9220 0.9990 0.1245
0.9238 0.0905 0.6651
0.9238 0.4095 0.1651
0.9913 0.1932 0.0623
0.9913 0.3068 0.5623
```

---

Entry 2:
Below is a relaxed structure of Tm6ReO12, with properties calculated at the r²SCAN level.

SG: R-3, No. 148
M_tot, Bohr magnetons per cell: 1.0
DFT formation energy, eV/atom: -3.56
Total DFT energy (no corrections), eV/f.u.: -402.5

POSCAR file:
```
Tm6ReO12
1.0
4.8079 2.7758 3.0424
-4.8079 2.7758 3.0424
0.0000 -5.5517 3.0424
Tm Re O
6 1 12
direct
0.1101 0.6439 0.8171
0.1829 0.8899 0.3561
0.3561 0.1829 0.8899
0.6439 0.8171 0.1101
0.8171 0.1101 0.6439
0.8899 0.3561 0.1829
0.5000 0.5000 0.5000
0.0699 0.3228 0.9105
0.0895 0.9301 0.6772
0.2011 0.5384 0.4230
0.3228 0.9105 0.0699
0.4230 0.2011 0.5384
0.4616 0.5770 0.7989
0.5384 0.4230 0.2011
0.5770 0.7989 0.4616
0.6772 0.0895 0.9301
0.7989 0.4616 0.5770
0.9105 0.0699 0.3228
0.9301 0.6772 0.0895
```